i:
A geometry-optimized Fe2P2H4NO8 structure, computed with PBE with a Hubbard U.

## Properties
The calculated density is 3.16 Mg/m³. The value obtained for the magnetization is 0.5296 μB/atom.

Lattice parameters (Å, degrees): 10.1189 12.6303 12.6303 73.29 66.52 66.52
Sites, in units of the cell vectors:
Fe: 0.9100 0.1419 0.0107
Fe: 0.5900 0.9893 0.8581
Fe: 0.0900 0.8581 0.9893
Fe: 0.4100 0.0107 0.1419
Fe: 0.5997 0.3600 0.9829
Fe: 0.9003 0.0171 0.6400
Fe: 0.4003 0.6400 0.0171
Fe: 0.0997 0.9829 0.3600
Fe: 0.7500 0.3171 0.6829
Fe: 0.2500 0.6829 0.3171
Fe: 0.2500 0.1936 0.8064
Fe: 0.7500 0.8064 0.1936
Fe: 0.7506 0.1875 0.3125
Fe: 0.7494 0.6875 0.8125
Fe: 0.2494 0.8125 0.6875
Fe: 0.2506 0.3125 0.1875
P: 0.0877 0.1832 0.1074
P: 0.4123 0.8926 0.8168
P: 0.9123 0.8168 0.8926
P: 0.5877 0.1074 0.1832
P: 0.4591 0.2480 0.9176
P: 0.0409 0.0824 0.7520
P: 0.5409 0.7520 0.0824
P: 0.9591 0.9176 0.2480
P: 0.5350 0.5783 0.7551
P: 0.9650 0.2449 0.4217
P: 0.4650 0.4217 0.2449
P: 0.0350 0.7551 0.5783
P: 0.9178 0.3949 0.8158
P: 0.5822 0.1842 0.6051
P: 0.0822 0.6051 0.1842
P: 0.4178 0.8158 0.3949
H: 0.1981 0.4433 0.8757
H: 0.3019 0.1243 0.5567
H: 0.8019 0.5567 0.1243
H: 0.6981 0.8757 0.4433
H: 0.2411 0.5680 0.8502
H: 0.2589 0.1498 0.4320
H: 0.7589 0.4320 0.1498
H: 0.7411 0.8502 0.5680
H: 0.0574 0.5787 0.8935
H: 0.4426 0.1065 0.4213
H: 0.9426 0.4213 0.1065
H: 0.5574 0.8935 0.5787
H: 0.1614 0.5079 0.9872
H: 0.3386 0.0128 0.4921
H: 0.8386 0.4921 0.0128
H: 0.6614 0.9872 0.5079
H: 0.5603 0.5331 0.3561
H: 0.9397 0.6439 0.4669
H: 0.4397 0.4669 0.6439
H: 0.0603 0.3561 0.5331
H: 0.6328 0.5093 0.4640
H: 0.8672 0.5360 0.4907
H: 0.3672 0.4907 0.5360
H: 0.1328 0.4640 0.5093
H: 0.7216 0.5616 0.3270
H: 0.7784 0.6730 0.4384
H: 0.2784 0.4384 0.6730
H: 0.2216 0.3270 0.5616
H: 0.7261 0.4182 0.3639
H: 0.7739 0.6361 0.5818
H: 0.2739 0.5818 0.6361
H: 0.2261 0.3639 0.4182
N: 0.1635 0.5239 0.9012
N: 0.3365 0.0988 0.4761
N: 0.8365 0.4761 0.0988
N: 0.6635 0.9012 0.5239
N: 0.6601 0.5059 0.3773
N: 0.8399 0.6227 0.4941
N: 0.3399 0.4941 0.6227
N: 0.1601 0.3773 0.5059
O: 0.9121 0.2028 0.1517
O: 0.5879 0.8483 0.7972
O: 0.0879 0.7972 0.8483
O: 0.4121 0.1517 0.2028
O: 0.1326 0.1643 0.9793
O: 0.3674 0.0207 0.8357
O: 0.8674 0.8357 0.0207
O: 0.6326 0.9793 0.1643
O: 0.1722 0.0752 0.1794
O: 0.3278 0.8206 0.9248
O: 0.8278 0.9248 0.8206
O: 0.6722 0.1794 0.0752
O: 0.1149 0.2927 0.1129
O: 0.3851 0.8871 0.7073
O: 0.8851 0.7073 0.8871
O: 0.6149 0.1129 0.2927
O: 0.3935 0.3217 0.0188
O: 0.1065 0.9812 0.6783
O: 0.6065 0.6783 0.9812
O: 0.8935 0.0188 0.3217
O: 0.6075 0.2797 0.8443
O: 0.8925 0.1557 0.7203
O: 0.3925 0.7203 0.1557
O: 0.1075 0.8443 0.2797
O: 0.4957 0.1150 0.9636
O: 0.0043 0.0364 0.8850
O: 0.5043 0.8850 0.0364
O: 0.9957 0.9636 0.1150
O: 0.3472 0.2863 0.8491
O: 0.1528 0.1509 0.7137
O: 0.6528 0.7137 0.1509
O: 0.8472 0.8491 0.2863
O: 0.5023 0.5268 0.8875
O: 0.9977 0.1125 0.4732
O: 0.4977 0.4732 0.1125
O: 0.0023 0.8875 0.5268
O: 0.3786 0.6559 0.7392
O: 0.1214 0.2608 0.3441
O: 0.6214 0.3441 0.2608
O: 0.8786 0.7392 0.6559
O: 0.5992 0.4834 0.6748
O: 0.9008 0.3252 0.5166
O: 0.4008 0.5166 0.3252
O: 0.0992 0.6748 0.4834
O: 0.6475 0.6469 0.7190
O: 0.8525 0.2810 0.3531
O: 0.3525 0.3531 0.2810
O: 0.1475 0.7190 0.6469
O: 0.8386 0.3206 0.9278
O: 0.6614 0.0722 0.6794
O: 0.1614 0.6794 0.0722
O: 0.3386 0.9278 0.3206
O: 0.8599 0.5200 0.8451
O: 0.6401 0.1549 0.4800
O: 0.1401 0.4800 0.1549
O: 0.3599 0.8451 0.5200
O: 0.8765 0.3916 0.7120
O: 0.6235 0.2880 0.6084
O: 0.1235 0.6084 0.2880
O: 0.3765 0.7120 0.3916
O: 0.0936 0.3523 0.7878
O: 0.4064 0.2122 0.6477
O: 0.9064 0.6477 0.2122
O: 0.5936 0.7878 0.3523

***

ii:
A geometry-optimized Fe2P2H4NO8 structure, computed with PBE with a Hubbard U.

## Properties
The calculated density is 2.90 Mg/m³. The value obtained for the magnetization is 0.4706 μB/atom.

Lattice parameters (Å, degrees): 10.4933 12.9509 12.9509 74.62 66.33 66.33
Sites, in units of the cell vectors:
Fe: 0.5916 0.9863 0.8634
Fe: 0.9084 0.1366 0.0137
Fe: 0.4084 0.0137 0.1366
Fe: 0.0916 0.8634 0.9863
Fe: 0.9064 0.0095 0.6519
Fe: 0.5936 0.3481 0.9905
Fe: 0.0936 0.9905 0.3481
Fe: 0.4064 0.6519 0.0095
Fe: 0.7500 0.2965 0.7035
Fe: 0.2500 0.7035 0.2965
Fe: 0.2500 0.1877 0.8123
Fe: 0.7500 0.8123 0.1877
Fe: 0.7482 0.6920 0.8046
Fe: 0.7518 0.1954 0.3080
Fe: 0.2518 0.3080 0.1954
Fe: 0.2482 0.8046 0.6920
P: 0.4234 0.8933 0.8150
P: 0.0766 0.1850 0.1067
P: 0.5766 0.1067 0.1850
P: 0.9234 0.8150 0.8933
P: 0.0489 0.0747 0.7542
P: 0.4511 0.2458 0.9253
P: 0.9511 0.9253 0.2458
P: 0.5489 0.7542 0.0747
P: 0.9691 0.2414 0.4143
P: 0.5309 0.5857 0.7586
P: 0.0309 0.7586 0.5857
P: 0.4691 0.4143 0.2414
P: 0.5832 0.1841 0.6221
P: 0.9168 0.3779 0.8159
P: 0.4168 0.8159 0.3779
P: 0.0832 0.6221 0.1841
H: 0.2911 0.1001 0.5527
H: 0.2089 0.4473 0.8999
H: 0.7089 0.8999 0.4473
H: 0.7911 0.5527 0.1001
H: 0.2518 0.1564 0.4320
H: 0.2482 0.5680 0.8436
H: 0.7482 0.8436 0.5680
H: 0.7518 0.4320 0.1564
H: 0.4926 0.1220 0.3697
H: 0.0074 0.6303 0.8780
H: 0.5074 0.8780 0.6303
H: 0.9926 0.3697 0.1220
H: 0.3039 0.9353 0.5066
H: 0.1961 0.4934 0.0647
H: 0.6961 0.0647 0.4934
H: 0.8039 0.5066 0.9353
H: 0.8325 0.7177 0.4374
H: 0.6675 0.5626 0.2823
H: 0.1675 0.2823 0.5626
H: 0.3325 0.4374 0.7177
H: 0.9445 0.3664 0.5136
H: 0.5555 0.4864 0.6336
H: 0.0555 0.6336 0.4864
H: 0.4445 0.5136 0.3664
H: 0.6572 0.7482 0.4461
H: 0.8428 0.5539 0.2518
H: 0.3428 0.2518 0.5539
H: 0.1572 0.4461 0.7482
H: 0.7090 0.6851 0.5708
H: 0.7910 0.4292 0.3149
H: 0.2910 0.3149 0.4292
H: 0.2090 0.5708 0.6851
N: 0.3194 0.1485 0.4754
N: 0.1806 0.5246 0.8515
N: 0.6806 0.8515 0.5246
N: 0.8194 0.4754 0.1485
N: 0.7254 0.7397 0.4934
N: 0.7746 0.5066 0.2603
N: 0.2746 0.2603 0.5066
N: 0.2254 0.4934 0.7397
O: 0.5907 0.8535 0.7965
O: 0.9093 0.2035 0.1465
O: 0.4093 0.1465 0.2035
O: 0.0907 0.7965 0.8535
O: 0.3674 0.0157 0.8374
O: 0.1326 0.1626 0.9843
O: 0.6326 0.9843 0.1626
O: 0.8674 0.8374 0.0157
O: 0.3356 0.8194 0.9060
O: 0.1644 0.0940 0.1806
O: 0.6644 0.1806 0.0940
O: 0.8356 0.9060 0.8194
O: 0.4110 0.8846 0.6970
O: 0.0890 0.3030 0.1154
O: 0.5890 0.1154 0.3030
O: 0.9110 0.6970 0.8846
O: 0.1183 0.9741 0.6806
O: 0.3817 0.3194 0.0259
O: 0.8817 0.0259 0.3194
O: 0.6183 0.6806 0.9741
O: 0.9000 0.1373 0.7281
O: 0.6000 0.2719 0.8627
O: 0.1000 0.8627 0.2719
O: 0.4000 0.7281 0.1373
O: 0.0132 0.0334 0.8847
O: 0.4868 0.1153 0.9666
O: 0.9868 0.9666 0.1153
O: 0.5132 0.8847 0.0334
O: 0.1487 0.1466 0.7156
O: 0.3513 0.2844 0.8534
O: 0.8513 0.8534 0.2844
O: 0.6487 0.7156 0.1466
O: 0.0023 0.1137 0.4610
O: 0.4977 0.5390 0.8863
O: 0.9977 0.8863 0.5390
O: 0.5023 0.4610 0.1137
O: 0.1087 0.2729 0.3499
O: 0.3913 0.6501 0.7271
O: 0.8913 0.7271 0.6501
O: 0.6087 0.3499 0.2729
O: 0.8956 0.3125 0.5247
O: 0.6044 0.4753 0.6875
O: 0.1044 0.6875 0.4753
O: 0.3956 0.5247 0.3125
O: 0.8553 0.2850 0.3549
O: 0.6447 0.6451 0.7150
O: 0.1447 0.7150 0.6451
O: 0.3553 0.3549 0.2850
O: 0.6636 0.0776 0.6906
O: 0.8364 0.3094 0.9224
O: 0.3364 0.9224 0.3094
O: 0.1636 0.6906 0.0776
O: 0.6582 0.1469 0.4920
O: 0.8418 0.5080 0.8531
O: 0.3418 0.8531 0.5080
O: 0.1582 0.4920 0.1469
O: 0.6177 0.2889 0.6157
O: 0.8823 0.3843 0.7111
O: 0.3823 0.7111 0.3843
O: 0.1177 0.6157 0.2889
O: 0.4191 0.2065 0.6488
O: 0.0809 0.3512 0.7935
O: 0.5809 0.7935 0.3512
O: 0.9191 0.6488 0.2065

***

Energies in eV/atom, measured from the most stable structure: i 0.000; ii 0.074.